Record 1
! KBa2Zn3B9O19 | the Materials Project | GGA-PBE | optimized geometry; values from VASP
! Total magnetic moment = 0.00 μB/cell
! Calculated total energy = -487.52 eV/cell
&SYSTEM
  ibrav = 0, nat = 68, ntyp = 5
/
ATOMIC_SPECIES
K 39.10 K.upf
Ba 137.33 Ba.upf
Zn 65.41 Zn.upf
B 10.81 B.upf
O 16.00 O.upf
ATOMIC_POSITIONS crystal
K 0.8452 0.0095 0.0807
K 0.1548 0.9905 0.9193
Ba 0.3604 0.9042 0.2234
Ba 0.6396 0.0958 0.7766
Ba 0.2838 0.6185 0.4277
Ba 0.7162 0.3815 0.5723
Zn 0.6342 0.2967 0.3768
Zn 0.3658 0.7033 0.6232
Zn 0.7011 0.5995 0.2419
Zn 0.2989 0.4005 0.7581
Zn 0.1712 0.6448 0.0498
Zn 0.8288 0.3552 0.9502
B 0.4641 0.5066 0.1033
B 0.5359 0.4934 0.8967
B 0.9918 0.0633 0.2469
B 0.0082 0.9367 0.7531
B 0.2497 0.4396 0.2692
B 0.7503 0.5604 0.7308
B 0.1629 0.9972 0.4004
B 0.8371 0.0028 0.5996
B 0.7491 0.3869 0.1178
B 0.2509 0.6131 0.8822
B 0.7881 0.7352 0.4273
B 0.2119 0.2648 0.5727
B 0.8687 0.3355 0.2434
B 0.1313 0.6645 0.7566
B 0.3603 0.1282 0.0832
B 0.6397 0.8718 0.9168
B 0.8963 0.1164 0.4272
B 0.1037 0.8836 0.5728
O 0.3565 0.0254 0.3830
O 0.6435 0.9746 0.6170
O 0.1920 0.9305 0.0703
O 0.8080 0.0695 0.9298
O 0.7401 0.9036 0.4344
O 0.2599 0.0964 0.5656
O 0.6889 0.3410 0.2791
O 0.3111 0.6590 0.7209
O 0.3318 0.3031 0.0693
O 0.6682 0.6969 0.9307
O 0.8596 0.4293 0.0531
O 0.1404 0.5707 0.9469
O 0.9692 0.8698 0.2548
O 0.0308 0.1302 0.7452
O 0.6304 0.5357 0.4344
O 0.3696 0.4643 0.5656
O 0.6564 0.5428 0.1359
O 0.3436 0.4572 0.8641
O 0.8543 0.2776 0.4373
O 0.1457 0.7224 0.5627
O 0.1074 0.1599 0.4103
O 0.8926 0.8401 0.5897
O 0.8978 0.4193 0.1751
O 0.1022 0.5807 0.8249
O 0.0024 0.7900 0.4154
O 0.9976 0.2100 0.5846
O 0.4502 0.6073 0.2840
O 0.5498 0.3927 0.7160
O 0.4104 0.6620 0.1071
O 0.5896 0.3380 0.8929
O 0.5531 0.1665 0.1142
O 0.4469 0.8335 0.8858
O 0.0786 0.4740 0.2851
O 0.9214 0.5260 0.7149
O 0.8246 0.1058 0.2398
O 0.1754 0.8942 0.7602
O 0.2078 0.2346 0.2450
O 0.7922 0.7654 0.7550
CELL_PARAMETERS angstrom
6.3353 1.3841 2.9716
-4.7848 -4.0658 3.5632
7.7870 -14.7326 -9.2180

***

Record 2
! Ba3La2B4O12 | the Materials Project | GGA-PBE | optimized geometry; values from VASP
! Total magnetic moment = 0.00 μB/cell
! Calculated total energy = -652.15 eV/cell
&SYSTEM
  ibrav = 0, nat = 84, ntyp = 4
/
ATOMIC_SPECIES
Ba 137.33 Ba.upf
La 138.91 La.upf
B 10.81 B.upf
O 16.00 O.upf
ATOMIC_POSITIONS crystal
Ba 0.3235 0.4676 0.7500
Ba 0.8235 0.0324 0.7500
Ba 0.1765 0.9676 0.2500
Ba 0.6765 0.5324 0.2500
Ba 0.6743 0.6564 0.8761
Ba 0.1743 0.8436 0.6239
Ba 0.8257 0.1564 0.1239
Ba 0.3257 0.3436 0.3761
Ba 0.3257 0.3436 0.1239
Ba 0.8257 0.1564 0.3761
Ba 0.6743 0.6564 0.6239
Ba 0.1743 0.8436 0.8761
La 0.9702 0.6704 0.4154
La 0.4702 0.8296 0.0846
La 0.5298 0.1704 0.5846
La 0.0298 0.3296 0.9154
La 0.0298 0.3296 0.5846
La 0.5298 0.1704 0.9154
La 0.4702 0.8296 0.4154
La 0.9702 0.6704 0.0846
B 0.8181 0.9516 0.5362
B 0.4782 0.8922 0.7500
B 0.9782 0.6078 0.7500
B 0.0218 0.3922 0.2500
B 0.5218 0.1078 0.2500
B 0.2185 0.1394 0.7500
B 0.7185 0.3606 0.7500
B 0.2815 0.6394 0.2500
B 0.7815 0.8606 0.2500
B 0.8181 0.9516 0.9638
B 0.3181 0.5484 0.5362
B 0.6819 0.4516 0.0362
B 0.1819 0.0484 0.4638
B 0.1819 0.0484 0.0362
B 0.6819 0.4516 0.4638
B 0.3181 0.5484 0.9638
O 0.6094 0.3119 0.4665
O 0.1725 0.5222 0.0084
O 0.8275 0.4778 0.5084
O 0.3275 0.0222 0.9916
O 0.3994 0.7559 0.7500
O 0.6233 0.5638 0.0843
O 0.1233 0.9362 0.4157
O 0.8767 0.0638 0.9157
O 0.3767 0.4362 0.5843
O 0.3767 0.4362 0.9157
O 0.8767 0.0638 0.5843
O 0.1233 0.9362 0.0843
O 0.6233 0.5638 0.4157
O 0.8520 0.9975 0.2500
O 0.3520 0.5025 0.2500
O 0.6480 0.4975 0.7500
O 0.1480 0.0025 0.7500
O 0.6006 0.2441 0.2500
O 0.1006 0.2559 0.2500
O 0.8994 0.7441 0.7500
O 0.9740 0.4573 0.1777
O 0.4740 0.0427 0.3223
O 0.5260 0.9573 0.8223
O 0.0260 0.5427 0.6777
O 0.0260 0.5427 0.8223
O 0.5260 0.9573 0.6777
O 0.4740 0.0427 0.1777
O 0.9740 0.4573 0.3223
O 0.8906 0.8119 0.5335
O 0.3906 0.6881 0.9665
O 0.6725 0.9778 0.4916
O 0.1094 0.1881 0.0335
O 0.1094 0.1881 0.4665
O 0.6094 0.3119 0.0335
O 0.3906 0.6881 0.5335
O 0.8906 0.8119 0.9665
O 0.7518 0.7891 0.1774
O 0.2518 0.7109 0.3226
O 0.7482 0.2891 0.8226
O 0.2482 0.2109 0.6774
O 0.2482 0.2109 0.8226
O 0.7482 0.2891 0.6774
O 0.2518 0.7109 0.1774
O 0.7518 0.7891 0.3226
O 0.6725 0.9778 0.0084
O 0.1725 0.5222 0.4916
O 0.8275 0.4778 0.9916
O 0.3275 0.0222 0.5084
CELL_PARAMETERS angstrom
7.9470 0.0000 0.0000
0.0000 9.0633 0.0000
0.0000 0.0000 16.8735

***

Record 3
! Ba4LiB3N6 | the Materials Project | GGA-PBE | optimized geometry; values from VASP
! Total magnetic moment = 0.00 μB/cell
! Calculated total energy = -93.22 eV/cell
&SYSTEM
  ibrav = 0, nat = 14, ntyp = 4
/
ATOMIC_SPECIES
Ba 137.33 Ba.upf
Li 6.94 Li.upf
B 10.81 B.upf
N 14.01 N.upf
ATOMIC_POSITIONS crystal
Ba 0.5000 0.5000 0.5000
Ba 0.0000 0.0000 0.5000
Ba 0.0000 0.5000 0.0000
Ba 0.5000 0.0000 0.0000
Li 0.0000 0.0000 0.0000
B 0.0000 0.5000 0.5000
B 0.5000 0.0000 0.5000
B 0.5000 0.5000 0.0000
N 0.0000 0.3290 0.3290
N 0.0000 0.6710 0.6710
N 0.3290 0.0000 0.3290
N 0.6710 0.0000 0.6710
N 0.3290 0.3290 0.0000
N 0.6710 0.6710 0.0000
CELL_PARAMETERS angstrom
0.0711 -2.0136 6.5726
-2.7448 6.2874 -0.4408
-3.7572 -4.4055 -3.7059

***

Record 4
! BaLiB9O15 | the Materials Project | GGA-PBE | optimized geometry; values from VASP
! Total magnetic moment = 0.00 μB/cell
! Calculated total energy = -408.83 eV/cell
&SYSTEM
  ibrav = 0, nat = 52, ntyp = 4
/
ATOMIC_SPECIES
Ba 137.33 Ba.upf
Li 6.94 Li.upf
B 10.81 B.upf
O 16.00 O.upf
ATOMIC_POSITIONS crystal
Ba 0.4980 0.4980 0.4980
Ba 0.9980 0.9980 0.9980
Li 0.2464 0.2464 0.2464
Li 0.7464 0.7464 0.7464
B 0.7432 0.6062 0.0808
B 0.2501 0.6803 0.8192
B 0.7501 0.3192 0.1803
B 0.3192 0.1803 0.7501
B 0.1062 0.2432 0.5808
B 0.2432 0.5808 0.1062
B 0.5808 0.1062 0.2432
B 0.8192 0.2501 0.6803
B 0.0808 0.7432 0.6062
B 0.6062 0.0808 0.7432
B 0.9187 0.2565 0.3936
B 0.2565 0.3936 0.9187
B 0.3936 0.9187 0.2565
B 0.8936 0.7565 0.4187
B 0.7565 0.4187 0.8936
B 0.4187 0.8936 0.7565
B 0.6803 0.8192 0.2501
B 0.1803 0.7501 0.3192
O 0.7568 0.7556 0.1022
O 0.7556 0.1022 0.7568
O 0.4874 0.2033 0.7216
O 0.7216 0.4874 0.2033
O 0.1022 0.7568 0.7556
O 0.7033 0.9874 0.2216
O 0.2216 0.7033 0.9874
O 0.9874 0.2216 0.7033
O 0.2430 0.2440 0.8979
O 0.8979 0.2430 0.2440
O 0.2440 0.8979 0.2430
O 0.7440 0.7430 0.3979
O 0.3979 0.7440 0.7430
O 0.7430 0.3979 0.7440
O 0.6022 0.2556 0.2568
O 0.2556 0.2568 0.6022
O 0.7961 0.2785 0.5122
O 0.2785 0.5122 0.7961
O 0.5122 0.7961 0.2785
O 0.0122 0.7785 0.2961
O 0.7785 0.2961 0.0122
O 0.2961 0.0122 0.7785
O 0.0760 0.2496 0.4238
O 0.2496 0.4238 0.0760
O 0.4238 0.0760 0.2496
O 0.9238 0.7496 0.5760
O 0.7496 0.5760 0.9238
O 0.5760 0.9238 0.7496
O 0.2033 0.7216 0.4874
O 0.2568 0.6022 0.2556
CELL_PARAMETERS angstrom
8.5238 -0.0213 1.4275
1.2048 8.4382 1.4275
-0.0246 -0.0213 8.6425

***

Calculated calculated formation energy (kJ/mol of formula units), listed in the same order as above: -9065.7, -6711.4, -1519.3, -7386.6